(1)
Na3Co4O8: optimized geometry, PBE with a Hubbard U.

ΔH_f (0 K) = -1.215 eV/atom
total energy = -0.3830 Ry per atom
total magnetic moment = 13.0 Bohr magnetons per cell

abc: 5.8681 5.9320 6.2274
angles: 62.80 75.19 84.06
Fractional coordinates of all 15 atoms:
Na: 0.0000 0.0000 0.0000
Na: 0.2139 0.5135 0.1561
Na: 0.7861 0.4865 0.8439
Co: 0.0000 0.0000 0.5000
Co: 0.3523 0.5991 0.6151
Co: 0.5000 0.0000 0.0000
Co: 0.6477 0.4009 0.3849
O: 0.1174 0.7616 0.7651
O: 0.2395 0.8672 0.2929
O: 0.3313 0.3318 0.5181
O: 0.3877 0.3176 0.9250
O: 0.6123 0.6824 0.0750
O: 0.6687 0.6682 0.4819
O: 0.7605 0.1328 0.7071
O: 0.8826 0.2384 0.2349

***

(2)
Sr3TaCoO7: optimized geometry, PBE with a Hubbard U.

ΔH_f (0 K) = -2.934 eV/atom
total energy = -0.5355 Ry per atom
total magnetic moment = 0.0 Bohr magnetons per cell

abc: 11.0019 11.0019 5.6003
angles: 90.01 90.01 150.51
Fractional coordinates of all 24 atoms:
Sr: 0.9999 0.0001 0.0000
Sr: 0.1624 0.8376 0.0000
Sr: 0.3726 0.6274 0.0000
Sr: 0.5000 0.5000 0.5000
Sr: 0.6626 0.3374 0.5000
Sr: 0.8750 0.1250 0.5000
Ta: 0.2781 0.7219 0.5000
Ta: 0.7785 0.2215 0.0000
Co: 0.0791 0.9209 0.5000
Co: 0.5743 0.4257 0.0000
O: 0.0331 0.4670 0.2505
O: 0.0330 0.4669 0.7495
O: 0.1872 0.8128 0.5000
O: 0.3205 0.1513 0.2646
O: 0.3500 0.1792 0.7643
O: 0.3753 0.6247 0.5000
O: 0.4815 0.5185 0.0000
O: 0.5331 0.9670 0.2505
O: 0.5330 0.9669 0.7495
O: 0.6890 0.3110 0.0000
O: 0.8208 0.6500 0.2357
O: 0.8487 0.6795 0.7354
O: 0.8762 0.1238 0.0000
O: 0.9861 0.0139 0.5000

***

(3)
Li9Mn2Co5O16: optimized geometry, PBE with a Hubbard U.

ΔH_f (0 K) = -1.832 eV/atom
total energy = -0.4279 Ry per atom
total magnetic moment = 10.0 Bohr magnetons per cell

abc: 9.8592 9.8592 10.2281
angles: 95.42 95.42 17.05
Fractional coordinates of all 32 atoms:
Li: 0.0000 0.0000 0.0000
Li: 0.9996 0.9996 0.4842
Li: 0.2508 0.2508 0.8710
Li: 0.2537 0.2537 0.3544
Li: 0.4960 0.4960 0.2384
Li: 0.5053 0.5053 0.7416
Li: 0.7482 0.7482 0.6109
Li: 0.7506 0.7506 0.1213
Li: 0.8780 0.8780 0.3041
Mn: 0.3774 0.3774 0.5453
Mn: 0.8765 0.8765 0.8044
Co: 0.1255 0.1255 0.1787
Co: 0.1269 0.1269 0.6783
Co: 0.3720 0.3720 0.0768
Co: 0.6258 0.6258 0.4282
Co: 0.6260 0.6260 0.9282
O: 0.0683 0.0683 0.8376
O: 0.0689 0.0689 0.3394
O: 0.1827 0.1827 0.0168
O: 0.1843 0.1843 0.5181
O: 0.3128 0.3128 0.1998
O: 0.3231 0.3231 0.7128
O: 0.4326 0.4326 0.8788
O: 0.4339 0.4339 0.4158
O: 0.5691 0.5691 0.0878
O: 0.5697 0.5697 0.5902
O: 0.6827 0.6827 0.2690
O: 0.6845 0.6845 0.7680
O: 0.8204 0.8204 0.4743
O: 0.8227 0.8227 0.9470
O: 0.9294 0.9294 0.6447
O: 0.9356 0.9356 0.1400

***

(4)
Li13Mn8O24: optimized geometry, PBE with a Hubbard U.

ΔH_f (0 K) = -2.010 eV/atom
total energy = -0.4532 Ry per atom
total magnetic moment = 21.0 Bohr magnetons per cell

abc: 4.9949 8.6063 9.7229
angles: 90.00 99.41 90.00
Fractional coordinates of all 45 atoms:
Li: 0.0000 0.0000 0.0000
Li: 0.2467 0.3471 0.7494
Li: 0.2467 0.6529 0.7494
Li: 0.2506 0.5000 0.2501
Li: 0.2542 0.1528 0.2540
Li: 0.2542 0.8472 0.2540
Li: 0.2578 0.0000 0.7486
Li: 0.7422 0.0000 0.2514
Li: 0.7458 0.1528 0.7460
Li: 0.7458 0.8472 0.7460
Li: 0.7494 0.5000 0.7499
Li: 0.7533 0.3471 0.2506
Li: 0.7533 0.6529 0.2506
Mn: 0.0000 0.1673 0.5000
Mn: 0.0000 0.3306 0.0000
Mn: 0.0000 0.6694 0.0000
Mn: 0.0000 0.8327 0.5000
Mn: 0.5000 0.1753 0.0000
Mn: 0.5000 0.3330 0.5000
Mn: 0.5000 0.6670 0.5000
Mn: 0.5000 0.8247 0.0000
O: 0.0896 0.0000 0.3835
O: 0.0920 0.5000 0.8830
O: 0.1436 0.1847 0.8879
O: 0.1436 0.8153 0.8879
O: 0.1487 0.3147 0.3861
O: 0.1487 0.6853 0.3861
O: 0.3513 0.1860 0.6145
O: 0.3513 0.8140 0.6145
O: 0.3517 0.3206 0.1141
O: 0.3517 0.6794 0.1141
O: 0.3944 0.0000 0.1136
O: 0.4100 0.5000 0.6163
O: 0.5900 0.5000 0.3837
O: 0.6056 0.0000 0.8864
O: 0.6483 0.3206 0.8859
O: 0.6483 0.6794 0.8859
O: 0.6487 0.1860 0.3855
O: 0.6487 0.8140 0.3855
O: 0.8513 0.3147 0.6139
O: 0.8513 0.6853 0.6139
O: 0.8564 0.1847 0.1121
O: 0.8564 0.8153 0.1121
O: 0.9080 0.5000 0.1170
O: 0.9104 0.0000 0.6165

***

(5)
V4O3F9: optimized geometry, PBE with a Hubbard U.

ΔH_f (0 K) = -2.941 eV/atom
total energy = -0.4706 Ry per atom

abc: 5.2314 5.4166 7.5744
angles: 92.52 90.00 90.33
Fractional coordinates of all 16 atoms:
V: 0.0000 0.0000 0.0000
V: 0.0371 0.9714 0.5063
V: 0.5092 0.5079 0.0127
V: 0.5540 0.4971 0.5119
O: 0.3262 0.7548 0.0461
O: 0.7362 0.7527 0.5460
O: 0.7552 0.1854 0.9635
F: 0.1361 0.9707 0.7574
F: 0.2378 0.6696 0.4569
F: 0.2539 0.2551 0.0639
F: 0.3405 0.1881 0.4634
F: 0.4361 0.4614 0.7570
F: 0.6328 0.4679 0.2558
F: 0.8297 0.6786 0.9528
F: 0.8325 0.2669 0.5574
F: 0.9413 0.9692 0.2544

***

(6)
V16Cu5O40: optimized geometry, PBE with a Hubbard U.

ΔH_f (0 K) = -2.064 eV/atom
total energy = -0.5241 Ry per atom
total magnetic moment = 5.0 Bohr magnetons per cell

abc: 7.1069 11.4684 9.4335
angles: 90.00 90.06 90.00
Fractional coordinates of all 61 atoms:
V: 0.0000 0.1465 0.0000
V: 0.0000 0.8535 0.0000
V: 0.2444 0.3515 0.3978
V: 0.2444 0.6485 0.3978
V: 0.2464 0.3513 0.8963
V: 0.2464 0.6487 0.8963
V: 0.4991 0.1484 0.9966
V: 0.4991 0.8516 0.9966
V: 0.5039 0.1506 0.4986
V: 0.5039 0.8494 0.4986
V: 0.7525 0.3522 0.3941
V: 0.7525 0.6478 0.3941
V: 0.7544 0.3524 0.8952
V: 0.7544 0.6476 0.8952
V: 0.9952 0.1483 0.5021
V: 0.9952 0.8517 0.5021
Cu: 0.0002 0.5000 0.1295
Cu: 0.2509 0.0000 0.2636
Cu: 0.7484 0.0000 0.2630
Cu: 0.7483 0.0000 0.7663
Cu: 0.9928 0.5000 0.6366
O: 0.0010 0.3170 0.9614
O: 0.0010 0.6830 0.9614
O: 0.0053 0.1193 0.1730
O: 0.0053 0.8807 0.1730
O: 0.0057 0.0000 0.4265
O: 0.2168 0.3707 0.2268
O: 0.2168 0.6293 0.2268
O: 0.2205 0.3707 0.7254
O: 0.2205 0.6293 0.7254
O: 0.2291 0.5000 0.9639
O: 0.2320 0.5000 0.4640
O: 0.2492 0.1760 0.9430
O: 0.2490 0.1793 0.4515
O: 0.2490 0.8207 0.4515
O: 0.2492 0.8240 0.9430
O: 0.4929 0.0000 0.4274
O: 0.4939 0.1223 0.1701
O: 0.4939 0.8777 0.1701
O: 0.4990 0.3234 0.9428
O: 0.4990 0.6766 0.9428
O: 0.5007 0.3225 0.4442
O: 0.5007 0.6775 0.4442
O: 0.5212 0.0000 0.9286
O: 0.5351 0.1298 0.6684
O: 0.5351 0.8702 0.6684
O: 0.7502 0.1758 0.4284
O: 0.7497 0.1828 0.9468
O: 0.7497 0.8172 0.9468
O: 0.7502 0.8242 0.4284
O: 0.7669 0.5000 0.4628
O: 0.7693 0.5000 0.9644
O: 0.7786 0.3726 0.2236
O: 0.7786 0.6274 0.2236
O: 0.7848 0.3739 0.7248
O: 0.7848 0.6261 0.7248
O: 0.9648 0.1262 0.6712
O: 0.9648 0.8738 0.6712
O: 0.9758 0.0000 0.9274
O: 0.9967 0.3179 0.4622
O: 0.9967 0.6821 0.4622

***

(7)
V3O7: optimized geometry, PBE with a Hubbard U.

ΔH_f (0 K) = -2.296 eV/atom
total energy = -0.5508 Ry per atom
total magnetic moment = 4.0 Bohr magnetons per cell

abc: 10.5111 10.7602 5.3777
angles: 90.00 90.00 90.00
Fractional coordinates of all 40 atoms:
V: 0.2001 0.0285 0.2044
V: 0.2001 0.4715 0.2044
V: 0.2180 0.2500 0.6995
V: 0.2820 0.7500 0.1995
V: 0.2999 0.5285 0.7044
V: 0.2999 0.9715 0.7044
V: 0.7001 0.0285 0.2956
V: 0.7001 0.4715 0.2956
V: 0.7180 0.2500 0.8005
V: 0.7820 0.7500 0.3005
V: 0.7999 0.5285 0.7956
V: 0.7999 0.9715 0.7956
O: 0.0522 0.0647 0.2146
O: 0.0522 0.4353 0.2146
O: 0.0649 0.2500 0.6931
O: 0.2253 0.6125 0.9704
O: 0.2253 0.8875 0.9704
O: 0.2300 0.6127 0.4333
O: 0.2300 0.8873 0.4333
O: 0.2700 0.1127 0.9333
O: 0.2700 0.3873 0.9333
O: 0.2747 0.1125 0.4704
O: 0.2747 0.3875 0.4704
O: 0.4351 0.7500 0.1931
O: 0.4478 0.5647 0.7146
O: 0.4478 0.9353 0.7146
O: 0.5522 0.0647 0.2854
O: 0.5522 0.4353 0.2854
O: 0.5649 0.2500 0.8069
O: 0.7253 0.6125 0.5296
O: 0.7253 0.8875 0.5296
O: 0.7300 0.6127 0.0667
O: 0.7300 0.8873 0.0667
O: 0.7700 0.1127 0.5667
O: 0.7700 0.3873 0.5667
O: 0.7747 0.1125 0.0296
O: 0.7747 0.3875 0.0296
O: 0.9351 0.7500 0.3069
O: 0.9478 0.5647 0.7854
O: 0.9478 0.9353 0.7854

***

(8)
Li5Fe3O2F10: optimized geometry, PBE with a Hubbard U.

ΔH_f (0 K) = -2.688 eV/atom
total energy = -0.3858 Ry per atom
total magnetic moment = 15.0 Bohr magnetons per cell

abc: 5.1506 5.5636 8.9404
angles: 105.87 90.21 117.43
Fractional coordinates of all 20 atoms:
Li: 0.0000 0.0000 0.0000
Li: 0.0812 0.1515 0.3647
Li: 0.5730 0.0475 0.5189
Li: 0.6600 0.1872 0.8588
Li: 0.7888 0.5380 0.2734
Fe: 0.3033 0.5653 0.7655
Fe: 0.3359 0.6311 0.1283
Fe: 0.8391 0.6440 0.6236
O: 0.7199 0.8265 0.8003
O: 0.8923 0.3886 0.7176
F: 0.2686 0.8511 0.3117
F: 0.2829 0.8698 0.6647
F: 0.2939 0.8365 0.9866
F: 0.3474 0.3631 0.9181
F: 0.3491 0.3581 0.2190
F: 0.3828 0.3510 0.5638
F: 0.7647 0.8402 0.1621
F: 0.7964 0.8360 0.4713
F: 0.8482 0.3610 0.4161
F: 0.9092 0.3694 0.0733

***

(9)
Sr16Fe16O47: optimized geometry, PBE with a Hubbard U.

ΔH_f (0 K) = -2.240 eV/atom
total energy = -0.4686 Ry per atom
total magnetic moment = 67.5 Bohr magnetons per cell

abc: 11.0784 11.0784 11.0784
angles: 120.06 120.06 89.89
Fractional coordinates of all 79 atoms:
Sr: 0.0000 0.2488 0.2488
Sr: 0.0000 0.7512 0.7512
Sr: 0.0027 0.7512 0.2515
Sr: 0.2410 0.5000 0.7410
Sr: 0.2488 0.0000 0.2488
Sr: 0.2488 0.5004 0.2515
Sr: 0.2488 0.9973 0.7485
Sr: 0.5000 0.2410 0.7410
Sr: 0.5004 0.2488 0.2515
Sr: 0.4996 0.7512 0.7485
Sr: 0.5000 0.7590 0.2590
Sr: 0.7512 0.0000 0.7512
Sr: 0.7512 0.0027 0.2515
Sr: 0.7512 0.4996 0.7485
Sr: 0.7590 0.5000 0.2590
Sr: 0.9973 0.2488 0.7485
Fe: 0.1230 0.1230 0.0000
Fe: 0.1254 0.1254 0.4998
Fe: 0.1254 0.6254 0.5000
Fe: 0.1254 0.6256 0.0000
Fe: 0.3663 0.3663 0.0000
Fe: 0.3744 0.3744 0.4998
Fe: 0.3744 0.8746 0.0000
Fe: 0.3746 0.8746 0.5000
Fe: 0.6254 0.1254 0.5000
Fe: 0.6256 0.1254 0.0000
Fe: 0.6256 0.6256 0.5002
Fe: 0.6337 0.6337 0.0000
Fe: 0.8746 0.3744 0.0000
Fe: 0.8746 0.3746 0.5000
Fe: 0.8746 0.8746 0.5002
Fe: 0.8770 0.8770 0.0000
O: 0.0000 0.0000 0.0000
O: 0.0000 0.0000 0.5000
O: 0.0000 0.5000 0.0000
O: 0.0000 0.5000 0.5000
O: 0.0012 0.0012 0.7533
O: 0.0012 0.2479 0.0000
O: 0.0009 0.5013 0.2516
O: 0.0009 0.7492 0.4995
O: 0.2473 0.2473 0.0000
O: 0.2479 0.0012 0.0000
O: 0.2479 0.2479 0.2467
O: 0.2493 0.2493 0.4986
O: 0.2493 0.7507 0.0000
O: 0.2497 0.5013 0.5005
O: 0.2497 0.7492 0.7484
O: 0.2500 0.7500 0.5000
O: 0.2508 0.7503 0.2516
O: 0.2508 0.9991 0.5005
O: 0.2638 0.2638 0.7611
O: 0.2638 0.5026 0.0000
O: 0.4974 0.4974 0.7611
O: 0.4974 0.7362 0.0000
O: 0.4987 0.7503 0.4995
O: 0.4987 0.9991 0.7484
O: 0.5000 0.0000 0.0000
O: 0.5000 0.0000 0.5000
O: 0.5000 0.5000 0.5000
O: 0.5013 0.0009 0.2516
O: 0.5013 0.2497 0.5005
O: 0.5026 0.2638 0.0000
O: 0.5026 0.5026 0.2389
O: 0.7362 0.4974 0.0000
O: 0.7362 0.7362 0.2389
O: 0.7492 0.0009 0.4995
O: 0.7492 0.2497 0.7484
O: 0.7500 0.2500 0.5000
O: 0.7503 0.2508 0.2516
O: 0.7503 0.4987 0.4995
O: 0.7507 0.2493 0.0000
O: 0.7507 0.7507 0.5014
O: 0.7521 0.7521 0.7533
O: 0.7521 0.9988 0.0000
O: 0.7527 0.7527 0.0000
O: 0.9991 0.2508 0.5005
O: 0.9991 0.4987 0.7484
O: 0.9988 0.7521 0.0000
O: 0.9988 0.9988 0.2467

***

(10)
Li4Fe3Ni2Sn3O16: optimized geometry, PBE with a Hubbard U.

ΔH_f (0 K) = -1.750 eV/atom
total energy = -0.4251 Ry per atom
total magnetic moment = 16.0 Bohr magnetons per cell

abc: 6.0838 6.0838 9.7518
angles: 90.97 90.97 60.12
Fractional coordinates of all 28 atoms:
Li: 0.0000 0.0000 0.0000
Li: 0.0027 0.0027 0.4940
Li: 0.3566 0.3566 0.6008
Li: 0.6908 0.6908 0.1106
Fe: 0.1878 0.6792 0.2803
Fe: 0.6792 0.1878 0.2803
Fe: 0.8488 0.8488 0.7777
Ni: 0.3493 0.3493 0.0075
Ni: 0.6829 0.6829 0.5027
Sn: 0.1869 0.1869 0.2833
Sn: 0.3561 0.8493 0.7817
Sn: 0.8493 0.3561 0.7817
O: 0.0136 0.0136 0.1816
O: 0.0168 0.0168 0.6760
O: 0.0583 0.5094 0.1595
O: 0.1643 0.6960 0.8894
O: 0.1744 0.1744 0.9036
O: 0.3312 0.8488 0.3953
O: 0.3557 0.3557 0.3953
O: 0.4996 0.4996 0.1648
O: 0.5094 0.0583 0.1595
O: 0.5361 0.5361 0.6534
O: 0.5486 0.9839 0.6603
O: 0.6880 0.6880 0.8995
O: 0.6960 0.1643 0.8894
O: 0.8488 0.3312 0.3953
O: 0.8526 0.8526 0.3826
O: 0.9839 0.5486 0.6603

***

Which formula does entry 6 have?
V16Cu5O40

***

Which formula does entry 9 have?
Sr16Fe16O47

***

Look up the ΔH_f (0 K) of the second one.
-2.934 eV/atom

***

Please write out number 2 again, unchanged.
Sr3TaCoO7: optimized geometry, PBE with a Hubbard U.

ΔH_f (0 K) = -2.934 eV/atom
total energy = -0.5355 Ry per atom
total magnetic moment = 0.0 Bohr magnetons per cell

abc: 11.0019 11.0019 5.6003
angles: 90.01 90.01 150.51
Fractional coordinates of all 24 atoms:
Sr: 0.9999 0.0001 0.0000
Sr: 0.1624 0.8376 0.0000
Sr: 0.3726 0.6274 0.0000
Sr: 0.5000 0.5000 0.5000
Sr: 0.6626 0.3374 0.5000
Sr: 0.8750 0.1250 0.5000
Ta: 0.2781 0.7219 0.5000
Ta: 0.7785 0.2215 0.0000
Co: 0.0791 0.9209 0.5000
Co: 0.5743 0.4257 0.0000
O: 0.0331 0.4670 0.2505
O: 0.0330 0.4669 0.7495
O: 0.1872 0.8128 0.5000
O: 0.3205 0.1513 0.2646
O: 0.3500 0.1792 0.7643
O: 0.3753 0.6247 0.5000
O: 0.4815 0.5185 0.0000
O: 0.5331 0.9670 0.2505
O: 0.5330 0.9669 0.7495
O: 0.6890 0.3110 0.0000
O: 0.8208 0.6500 0.2357
O: 0.8487 0.6795 0.7354
O: 0.8762 0.1238 0.0000
O: 0.9861 0.0139 0.5000